(1)
K2ThF6, optimized geometry, DFT GGA-PBE; VASP energy = -107.0 eV for the cell shown; E_form = -35.13 eV per formula unit; V = 18.31 Å³ per atom; SG = C2/c, No. 15
1.0
6.399 3.713 0.000
-6.399 3.713 0.000
0.000 2.223 6.935
F Th K
12 2 4
direct
0.256 0.103 0.865 F
0.622 0.168 0.627 F
0.525 0.666 0.892 F
0.832 0.378 0.873 F
0.475 0.334 0.108 F
0.334 0.475 0.608 F
0.103 0.256 0.365 F
0.168 0.622 0.127 F
0.378 0.832 0.373 F
0.744 0.897 0.135 F
0.897 0.744 0.635 F
0.666 0.525 0.392 F
0.416 0.584 0.250 Th
0.584 0.416 0.750 Th
0.915 0.085 0.750 K
0.085 0.915 0.250 K
0.757 0.243 0.250 K
0.243 0.757 0.750 K

(2)
KTh6F25, optimized geometry, DFT GGA-PBE; VASP energy = -222.8 eV for the cell shown; E_form = -140.88 eV per formula unit; V = 16.15 Å³ per atom; SG = P1, No. 1
1.0
8.845 -4.187 0.000
8.845 4.187 0.000
6.863 0.000 6.976
F Th K
25 6 1
direct
0.173 0.505 0.819 F
0.506 0.820 0.173 F
0.449 0.875 0.876 F
0.546 0.548 0.551 F
0.687 0.258 0.254 F
0.499 0.496 0.999 F
0.549 0.134 0.124 F
0.786 0.794 0.786 F
0.003 0.501 0.503 F
0.750 0.746 0.306 F
0.500 0.999 0.506 F
0.255 0.687 0.247 F
0.203 0.213 0.213 F
0.873 0.452 0.875 F
0.874 0.878 0.448 F
0.316 0.749 0.745 F
0.178 0.821 0.496 F
0.245 0.255 0.691 F
0.454 0.446 0.454 F
0.120 0.553 0.131 F
0.818 0.496 0.185 F
0.503 0.178 0.825 F
0.754 0.308 0.745 F
0.124 0.132 0.553 F
0.818 0.185 0.496 F
0.591 0.593 0.086 Th
0.086 0.590 0.598 Th
0.587 0.095 0.589 Th
0.414 0.903 0.409 Th
0.409 0.414 0.903 Th
0.914 0.405 0.411 Th
0.002 0.005 0.995 K

(3)
K2ThF6, optimized geometry, DFT GGA-PBE; maximum piezoelectric response = 0.4 C/m2; VASP energy = -53.4 eV for the cell shown; E_form = -35.10 eV per formula unit; V = 16.57 Å³ per atom; SG = P-62m, No. 189
1.0
-3.485 -0.673 -1.512
-2.042 6.030 2.024
2.762 -0.739 -6.038
F Th K
6 1 2
direct
0.500 0.000 0.772 F
0.000 0.344 0.000 F
0.000 0.656 0.656 F
0.500 0.228 0.228 F
0.000 0.000 0.344 F
0.500 0.772 0.000 F
0.000 0.000 0.000 Th
0.500 0.667 0.333 K
0.500 0.333 0.667 K

(4)
K2ThF6, optimized geometry, DFT GGA-PBE; VASP energy = -53.5 eV for the cell shown; E_form = -35.17 eV per formula unit; V = 18.35 Å³ per atom; SG = Immm, No. 71
1.0
-6.371 3.526 1.044
-2.221 4.874 -5.043
1.854 -6.977 1.413
F K Th
6 2 1
direct
0.632 0.858 0.774 F
0.084 0.858 0.226 F
0.916 0.142 0.774 F
0.204 0.500 0.704 F
0.796 0.500 0.296 F
0.368 0.142 0.226 F
0.330 0.330 0.000 K
0.670 0.670 0.000 K
0.000 0.000 0.000 Th

(5)
K2TiF5, optimized geometry, DFT GGA-PBE; VASP energy = -177.2 eV for the cell shown; E_form = -26.92 eV per formula unit; V = 16.16 Å³ per atom; SG = Pnma, No. 62
1.0
6.158 0.000 0.000
0.000 7.710 0.000
0.000 0.000 10.892
K F Ti
8 20 4
direct
0.509 0.250 0.367 K
0.009 0.250 0.133 K
0.411 0.250 0.711 K
0.491 0.750 0.633 K
0.991 0.750 0.867 K
0.589 0.750 0.289 K
0.911 0.250 0.789 K
0.089 0.750 0.211 K
0.619 0.532 0.833 F
0.381 0.468 0.167 F
0.713 0.057 0.571 F
0.787 0.943 0.071 F
0.119 0.968 0.667 F
0.713 0.443 0.571 F
0.213 0.057 0.929 F
0.287 0.557 0.429 F
0.881 0.032 0.333 F
0.407 0.750 0.014 F
0.381 0.032 0.167 F
0.287 0.943 0.429 F
0.787 0.557 0.071 F
0.593 0.250 0.986 F
0.881 0.468 0.333 F
0.907 0.750 0.486 F
0.619 0.968 0.833 F
0.093 0.250 0.514 F
0.213 0.443 0.929 F
0.119 0.532 0.667 F
0.500 0.000 0.000 Ti
0.500 0.500 0.000 Ti
0.000 0.000 0.500 Ti
0.000 0.500 0.500 Ti

(6)
K5Ti3F14, optimized geometry, DFT GGA-PBE; VASP energy = -250.1 eV for the cell shown; E_form = -75.48 eV per formula unit; V = 16.92 Å³ per atom; SG = P4/mnc, No. 128
1.0
-2.966 2.614 -6.883
-5.743 -5.464 0.400
-6.860 7.639 5.856
K F Ti
10 28 6
direct
0.770 0.730 0.250 K
0.230 0.270 0.750 K
0.730 0.230 0.250 K
0.500 0.500 0.000 K
0.230 0.270 0.250 K
0.730 0.230 0.750 K
0.270 0.770 0.750 K
0.770 0.730 0.750 K
0.270 0.770 0.250 K
0.000 0.000 0.500 K
0.026 0.679 0.614 F
0.540 0.250 0.500 F
0.000 0.000 0.832 F
0.474 0.179 0.114 F
0.750 0.540 0.500 F
0.679 0.974 0.386 F
0.821 0.474 0.886 F
0.750 0.040 0.000 F
0.179 0.526 0.114 F
0.526 0.821 0.886 F
0.460 0.750 0.500 F
0.000 0.000 0.168 F
0.500 0.500 0.332 F
0.026 0.679 0.386 F
0.974 0.321 0.386 F
0.500 0.500 0.668 F
0.321 0.026 0.386 F
0.960 0.750 0.000 F
0.321 0.026 0.614 F
0.250 0.960 0.000 F
0.040 0.250 0.000 F
0.474 0.179 0.886 F
0.179 0.526 0.886 F
0.250 0.460 0.500 F
0.821 0.474 0.114 F
0.679 0.974 0.614 F
0.974 0.321 0.614 F
0.526 0.821 0.114 F
0.000 0.500 0.000 Ti
0.500 0.000 0.500 Ti
0.500 0.500 0.500 Ti
0.500 0.000 0.000 Ti
0.000 0.500 0.500 Ti
0.000 0.000 0.000 Ti

(7)
K2TiF5, optimized geometry, DFT GGA-PBE; VASP energy = -708.8 eV for the cell shown; E_form = -26.92 eV per formula unit; V = 16.28 Å³ per atom; SG = Pbcn, No. 60
1.0
7.589 0.000 0.000
0.000 13.090 0.000
0.000 0.000 20.980
F K Ti
80 32 16
direct
0.800 0.799 0.722 F
0.706 0.919 0.203 F
0.531 0.611 0.387 F
0.010 0.305 0.860 F
0.996 0.903 0.123 F
0.794 0.581 0.703 F
0.827 0.413 0.970 F
0.323 0.989 0.152 F
0.000 0.184 0.750 F
0.510 0.805 0.640 F
0.800 0.201 0.222 F
0.500 0.316 0.250 F
0.823 0.511 0.848 F
0.673 0.087 0.470 F
0.776 0.375 0.461 F
0.531 0.389 0.887 F
0.969 0.111 0.387 F
0.490 0.195 0.360 F
0.294 0.081 0.797 F
0.316 0.798 0.404 F
0.816 0.702 0.596 F
0.794 0.419 0.203 F
0.004 0.097 0.877 F
0.823 0.489 0.348 F
0.684 0.202 0.596 F
0.184 0.298 0.404 F
0.673 0.913 0.970 F
0.816 0.298 0.096 F
0.316 0.202 0.904 F
0.224 0.375 0.039 F
0.206 0.581 0.797 F
0.490 0.805 0.860 F
0.724 0.875 0.461 F
0.173 0.413 0.530 F
0.004 0.903 0.377 F
0.684 0.798 0.096 F
0.990 0.695 0.140 F
0.177 0.489 0.152 F
0.206 0.419 0.297 F
0.327 0.913 0.530 F
0.496 0.403 0.377 F
0.504 0.403 0.123 F
0.500 0.500 0.000 F
0.327 0.087 0.030 F
0.706 0.081 0.703 F
0.294 0.919 0.297 F
0.496 0.597 0.877 F
0.724 0.125 0.961 F
0.276 0.875 0.039 F
0.031 0.111 0.113 F
0.323 0.011 0.652 F
0.677 0.989 0.348 F
0.469 0.611 0.113 F
0.000 0.000 0.000 F
0.510 0.195 0.140 F
0.700 0.299 0.722 F
0.996 0.097 0.623 F
0.173 0.587 0.030 F
0.500 0.500 0.500 F
0.469 0.389 0.613 F
0.677 0.011 0.848 F
0.000 0.000 0.500 F
0.300 0.299 0.778 F
0.200 0.201 0.278 F
0.827 0.587 0.470 F
0.184 0.702 0.904 F
0.500 0.684 0.750 F
0.990 0.305 0.640 F
0.776 0.625 0.961 F
0.224 0.625 0.539 F
0.000 0.816 0.250 F
0.504 0.597 0.623 F
0.010 0.695 0.360 F
0.276 0.125 0.539 F
0.300 0.701 0.278 F
0.177 0.511 0.652 F
0.969 0.889 0.887 F
0.031 0.889 0.613 F
0.200 0.799 0.778 F
0.700 0.701 0.222 F
0.990 0.234 0.506 K
0.144 0.714 0.664 K
0.990 0.766 0.006 K
0.010 0.234 0.994 K
0.356 0.214 0.664 K
0.500 0.070 0.250 K
0.010 0.766 0.494 K
0.152 0.483 0.917 K
0.152 0.517 0.417 K
0.490 0.266 0.494 K
0.348 0.017 0.417 K
0.856 0.714 0.836 K
0.144 0.286 0.164 K
0.490 0.734 0.994 K
0.644 0.786 0.336 K
0.356 0.786 0.164 K
0.856 0.286 0.336 K
0.510 0.266 0.006 K
0.500 0.464 0.750 K
0.848 0.483 0.583 K
0.652 0.983 0.583 K
0.644 0.214 0.836 K
0.500 0.930 0.750 K
0.510 0.734 0.506 K
0.652 0.017 0.083 K
0.000 0.570 0.250 K
0.848 0.517 0.083 K
0.000 0.430 0.750 K
0.348 0.983 0.917 K
0.500 0.536 0.250 K
0.000 0.964 0.750 K
0.000 0.036 0.250 K
0.162 0.801 0.328 Ti
0.662 0.301 0.172 Ti
0.665 0.500 0.423 Ti
0.838 0.801 0.172 Ti
0.335 0.500 0.077 Ti
0.335 0.500 0.577 Ti
0.662 0.699 0.672 Ti
0.338 0.699 0.828 Ti
0.665 0.500 0.923 Ti
0.838 0.199 0.672 Ti
0.165 0.000 0.077 Ti
0.338 0.301 0.328 Ti
0.835 0.000 0.923 Ti
0.835 0.000 0.423 Ti
0.165 0.000 0.577 Ti
0.162 0.199 0.828 Ti

(8)
KTlF3, optimized geometry, DFT GGA-PBE; VASP energy = -40.1 eV for the cell shown; E_form = -12.22 eV per formula unit; V = 22.00 Å³ per atom; SG = Fm-3m, No. 225
1.0
-1.758 -6.294 1.795
-6.457 -1.421 1.485
-3.683 -3.821 -4.214
F Tl K
6 2 2
direct
0.230 0.230 0.770 F
0.770 0.770 0.230 F
0.230 0.770 0.230 F
0.770 0.230 0.230 F
0.230 0.770 0.770 F
0.770 0.230 0.770 F
0.500 0.500 0.500 Tl
0.000 0.000 0.000 Tl
0.250 0.250 0.250 K
0.750 0.750 0.750 K

Which formula does entry 8 have?
KTlF3